Density functional theory data (PBE) for a relaxed structure of Fe3Ni3B2.

Summary:
The symmetry is P2_1 (4). As for the formation energy: -0.210 eV per atom.

a b c (Å): 4.409 5.293 6.621
angles (deg): 90.00 90.02 90.00
Sites, in units of the cell vectors:
Fe 0.100 0.000 0.190
Fe 0.103 0.002 0.811
Fe 0.397 0.358 0.306
Fe 0.603 0.858 0.694
Fe 0.897 0.502 0.189
Fe 0.900 0.500 0.810
Ni 0.120 0.708 0.498
Ni 0.381 0.652 0.001
Ni 0.402 0.364 0.684
Ni 0.598 0.864 0.316
Ni 0.619 0.152 0.999
Ni 0.880 0.208 0.502
B 0.195 0.303 0.999
B 0.306 0.060 0.504
B 0.694 0.560 0.496
B 0.805 0.803 0.001